[1]
Yb3SiO | the Materials Project database | r²SCAN | optimized geometry; calculated density = 9.9 g/cm3; energy of formation from the pure elements = -1.5452 eV per atom; E_tot = -26.4121 eV per atom
1.0
6.128 -0.932 1.474
-1.868 1.399 5.929
-2.325 -4.934 -3.292
Yb Si O
6 2 2
Direct
0.834 0.250 0.584 Yb
0.166 0.750 0.416 Yb
0.311 0.311 0.500 Yb
0.689 0.189 0.000 Yb
0.689 0.689 0.500 Yb
0.311 0.811 0.000 Yb
0.782 0.750 0.032 Si
0.218 0.250 0.968 Si
0.000 0.500 0.500 O
0.500 0.000 0.500 O



[2]
Th2Si3Ir | the Materials Project database | r²SCAN | optimized geometry; calculated density = 9.9 g/cm3; energy of formation from the pure elements = -0.9857 eV per atom; E_tot = -38.5909 eV per atom
1.0
-2.066 2.112 7.103
2.066 -2.112 7.103
2.066 2.112 -7.103
Th Si Ir
2 3 1
Direct
0.752 0.252 0.500 Th
0.001 0.001 0.000 Th
0.584 0.584 0.000 Si
0.331 0.831 0.500 Si
0.417 0.417 0.000 Si
0.165 0.665 0.500 Ir



[3]
La4As3 | the Materials Project database | r²SCAN | optimized geometry; calculated density = 6.6 g/cm3; energy of formation from the pure elements = -1.5435 eV per atom; E_tot = -24.8438 eV per atom
1.0
7.525 0.000 -2.660
-3.762 6.517 -2.660
0.000 0.000 7.981
La As
8 6
Direct
0.000 0.365 0.500 La
0.500 0.000 0.365 La
0.865 0.500 0.000 La
0.135 0.135 0.135 La
0.500 0.000 0.865 La
0.635 0.635 0.635 La
0.000 0.865 0.500 La
0.365 0.500 0.000 La
0.750 0.875 0.125 As
0.875 0.125 0.750 As
0.625 0.375 0.250 As
0.250 0.625 0.375 As
0.125 0.750 0.875 As
0.375 0.250 0.625 As



[4]
YCuSn | the Materials Project database | r²SCAN | optimized geometry; calculated density = 7.0 g/cm3; energy of formation from the pure elements = -0.6754 eV per atom; E_tot = -19.3110 eV per atom
1.0
2.257 -3.909 0.000
2.257 3.909 0.000
0.000 0.000 7.320
Y Cu Sn
2 2 2
Direct
0.000 0.000 0.999 Y
0.000 0.000 0.499 Y
0.667 0.333 0.321 Cu
0.333 0.667 0.821 Cu
0.333 0.667 0.229 Sn
0.667 0.333 0.729 Sn



[5]
In2S3O12 | the Materials Project database | r²SCAN | optimized geometry; calculated density = 3.6 g/cm3; energy of formation from the pure elements = -1.6183 eV per atom; E_tot = -9.9082 eV per atom
1.0
-4.862 3.473 -6.944
-2.344 -4.565 -7.589
-8.530 -2.495 -2.221
In S O
4 6 24
Direct
0.855 0.855 0.855 In
0.145 0.145 0.145 In
0.652 0.652 0.652 In
0.348 0.348 0.348 In
0.544 0.248 0.959 S
0.959 0.544 0.248 S
0.248 0.959 0.544 S
0.456 0.752 0.041 S
0.041 0.456 0.752 S
0.752 0.041 0.456 S
0.402 0.203 0.980 O
0.980 0.402 0.203 O
0.203 0.980 0.402 O
0.598 0.797 0.020 O
0.020 0.598 0.797 O
0.797 0.020 0.598 O
0.528 0.206 0.148 O
0.148 0.528 0.206 O
0.206 0.148 0.528 O
0.472 0.794 0.852 O
0.852 0.472 0.794 O
0.794 0.852 0.472 O
0.738 0.131 0.866 O
0.866 0.738 0.131 O
0.131 0.866 0.738 O
0.262 0.869 0.134 O
0.134 0.262 0.869 O
0.869 0.134 0.262 O
0.511 0.452 0.840 O
0.840 0.511 0.452 O
0.452 0.840 0.511 O
0.489 0.548 0.160 O
0.160 0.489 0.548 O
0.548 0.160 0.489 O



[6]
SmMg3 | the Materials Project database | r²SCAN | optimized geometry; calculated density = 3.6 g/cm3; energy of formation from the pure elements = -0.0901 eV per atom; E_tot = -10.6503 eV per atom
1.0
-3.088 5.196 -3.028
-2.125 -2.134 6.053
3.271 3.289 2.308
Sm Mg
2 6
Direct
0.667 0.333 0.250 Sm
0.333 0.667 0.750 Sm
0.161 0.323 0.250 Mg
0.161 0.839 0.250 Mg
0.677 0.839 0.250 Mg
0.323 0.161 0.750 Mg
0.839 0.161 0.750 Mg
0.839 0.677 0.750 Mg



[7]
V3OF11 | the Materials Project database | r²SCAN | optimized geometry; calculated density = 3.3 g/cm3; energy of formation from the pure elements = -2.9429 eV per atom; E_tot = -8.4514 eV per atom; energy above the most stable polymorph in this dataset = 2 meV per atom
1.0
-0.444 0.855 4.994
4.874 -2.061 0.769
3.438 13.468 -1.994
V O F
6 2 22
Direct
0.033 0.612 0.830 V
0.500 0.500 0.500 V
0.967 0.388 0.170 V
0.517 0.141 0.835 V
0.000 0.000 0.500 V
0.483 0.859 0.165 V
0.789 0.644 0.194 O
0.211 0.356 0.806 O
0.721 0.459 0.864 F
0.279 0.541 0.136 F
0.900 0.634 0.717 F
0.602 0.467 0.380 F
0.899 0.289 0.047 F
0.398 0.533 0.620 F
0.100 0.366 0.283 F
0.401 0.202 0.953 F
0.805 0.312 0.529 F
0.689 0.162 0.195 F
0.807 0.964 0.862 F
0.305 0.187 0.470 F
0.193 0.036 0.138 F
0.599 0.132 0.714 F
0.898 0.965 0.380 F
0.599 0.798 0.047 F
0.102 0.035 0.620 F
0.401 0.868 0.286 F
0.101 0.711 0.953 F
0.695 0.813 0.530 F
0.311 0.838 0.805 F
0.195 0.688 0.471 F



[8]
HfMn6Sn6 | the Materials Project database | r²SCAN | optimized geometry; calculated density = 8.3 g/cm3; energy of formation from the pure elements = -0.1479 eV per atom; E_tot = -21.8193 eV per atom
1.0
-1.417 0.043 5.387
0.782 -4.845 -2.636
8.806 0.162 2.315
Hf Mn Sn
1 6 6
Direct
0.000 0.000 0.000 Hf
0.000 0.500 0.246 Mn
0.000 0.500 0.754 Mn
0.500 0.500 0.246 Mn
0.500 0.500 0.754 Mn
0.500 0.000 0.246 Mn
0.500 0.000 0.754 Mn
0.333 0.667 0.000 Sn
0.333 0.667 0.500 Sn
0.000 0.000 0.328 Sn
0.000 0.000 0.672 Sn
0.667 0.333 0.000 Sn
0.667 0.333 0.500 Sn